1.
Na3U2H28S10N9O44: optimized geometry, PBE-GGA.

Calculated values
Corrected total energy (MP2020 scheme): -0.4461 Ry per atom
Energy of formation from the pure elements: -1.3229 eV per atom
Volume: 12.01 Å³ per atom

Lattice parameters (Å, degrees): 9.271 10.144 13.440 93.72 103.24 108.60
Fractional coordinates of all 96 atoms:
Na (0.000, 0.000, 0.000)
Na (0.015, 0.238, 0.791)
Na (0.985, 0.762, 0.209)
U (0.468, 0.851, 0.272)
U (0.532, 0.149, 0.728)
H (0.016, 0.779, 0.491)
H (0.049, 0.124, 0.434)
H (0.063, 0.303, 0.203)
H (0.135, 0.477, 0.184)
H (0.137, 0.302, 0.463)
H (0.139, 0.555, 0.689)
H (0.156, 0.349, 0.111)
H (0.164, 0.204, 0.555)
H (0.222, 0.725, 0.743)
H (0.233, 0.678, 0.624)
H (0.262, 0.394, 0.233)
H (0.338, 0.627, 0.724)
H (0.465, 0.232, 0.108)
H (0.497, 0.812, 0.994)
H (0.503, 0.188, 0.006)
H (0.535, 0.768, 0.892)
H (0.662, 0.373, 0.276)
H (0.738, 0.606, 0.767)
H (0.767, 0.322, 0.376)
H (0.778, 0.275, 0.257)
H (0.836, 0.796, 0.445)
H (0.844, 0.651, 0.889)
H (0.861, 0.445, 0.311)
H (0.863, 0.698, 0.537)
H (0.865, 0.523, 0.816)
H (0.937, 0.697, 0.797)
H (0.951, 0.876, 0.566)
H (0.984, 0.221, 0.509)
S (0.140, 0.987, 0.765)
S (0.193, 0.627, 0.407)
S (0.196, 0.742, 0.058)
S (0.317, 0.086, 0.275)
S (0.410, 0.394, 0.757)
S (0.590, 0.606, 0.243)
S (0.683, 0.914, 0.725)
S (0.804, 0.258, 0.942)
S (0.807, 0.373, 0.593)
S (0.860, 0.013, 0.235)
N (0.084, 0.212, 0.491)
N (0.153, 0.381, 0.184)
N (0.235, 0.647, 0.696)
N (0.308, 0.394, 0.999)
N (0.500, 0.500, 0.500)
N (0.692, 0.606, 0.001)
N (0.765, 0.353, 0.304)
N (0.847, 0.619, 0.816)
N (0.916, 0.788, 0.509)
O (0.040, 0.589, 0.329)
O (0.062, 0.026, 0.668)
O (0.074, 0.808, 0.031)
O (0.098, 0.833, 0.762)
O (0.113, 0.056, 0.855)
O (0.175, 0.670, 0.150)
O (0.196, 0.651, 0.969)
O (0.199, 0.724, 0.496)
O (0.218, 0.495, 0.439)
O (0.226, 0.119, 0.180)
O (0.252, 0.930, 0.283)
O (0.267, 0.380, 0.789)
O (0.317, 0.174, 0.366)
O (0.320, 0.046, 0.777)
O (0.322, 0.695, 0.357)
O (0.360, 0.857, 0.099)
O (0.373, 0.290, 0.660)
O (0.418, 0.196, 0.034)
O (0.429, 0.060, 0.597)
O (0.475, 0.656, 0.168)
O (0.481, 0.103, 0.265)
O (0.491, 0.539, 0.743)
O (0.509, 0.461, 0.257)
O (0.519, 0.897, 0.735)
O (0.525, 0.344, 0.832)
O (0.571, 0.940, 0.403)
O (0.582, 0.804, 0.966)
O (0.627, 0.710, 0.340)
O (0.640, 0.143, 0.901)
O (0.678, 0.305, 0.643)
O (0.680, 0.954, 0.223)
O (0.683, 0.826, 0.634)
O (0.733, 0.620, 0.211)
O (0.748, 0.070, 0.717)
O (0.774, 0.881, 0.820)
O (0.782, 0.505, 0.561)
O (0.801, 0.276, 0.504)
O (0.804, 0.349, 0.031)
O (0.825, 0.330, 0.850)
O (0.887, 0.944, 0.145)
O (0.902, 0.167, 0.238)
O (0.926, 0.192, 0.969)
O (0.938, 0.974, 0.332)
O (0.960, 0.411, 0.671)

2.
NbH12N3O8: optimized geometry, PBE-GGA.

Calculated values
Corrected total energy (MP2020 scheme): -0.4112 Ry per atom
Energy of formation from the pure elements: -0.7865 eV per atom
Volume: 8.80 Å³ per atom

Lattice parameters (Å, degrees): 6.544 6.544 6.544 114.50 114.50 99.82
Fractional coordinates of all 24 atoms:
Nb (0.000, 0.000, 0.000)
H (0.138, 0.568, 0.345)
H (0.206, 0.862, 0.430)
H (0.224, 0.794, 0.655)
H (0.347, 0.520, 0.000)
H (0.432, 0.776, 0.570)
H (0.480, 0.480, 0.827)
H (0.520, 0.347, 0.000)
H (0.568, 0.138, 0.345)
H (0.653, 0.653, 0.173)
H (0.776, 0.432, 0.570)
H (0.794, 0.224, 0.655)
H (0.862, 0.206, 0.430)
N (0.250, 0.750, 0.500)
N (0.500, 0.500, 0.000)
N (0.750, 0.250, 0.500)
O (0.036, 0.036, 0.721)
O (0.193, 0.774, 0.000)
O (0.226, 0.226, 0.418)
O (0.315, 0.315, 0.279)
O (0.685, 0.964, 0.000)
O (0.774, 0.193, 0.000)
O (0.807, 0.807, 0.582)
O (0.964, 0.685, 0.000)

3.
NdH12S2NO12: optimized geometry, PBE-GGA.

Calculated values
Corrected total energy (MP2020 scheme): -0.4377 Ry per atom
Energy of formation from the pure elements: -1.6173 eV per atom
Volume: 10.14 Å³ per atom

Lattice parameters (Å, degrees): 6.734 19.231 8.844 90.00 97.54 90.00
Fractional coordinates of all 112 atoms:
Nd (0.144, 0.123, 0.288)
Nd (0.144, 0.377, 0.788)
Nd (0.856, 0.623, 0.212)
Nd (0.856, 0.877, 0.712)
H (0.127, 0.084, 0.951)
H (0.127, 0.416, 0.451)
H (0.177, 0.528, 0.934)
H (0.177, 0.972, 0.434)
H (0.188, 0.137, 0.651)
H (0.188, 0.363, 0.151)
H (0.238, 0.710, 0.967)
H (0.238, 0.790, 0.467)
H (0.254, 0.537, 0.774)
H (0.254, 0.963, 0.274)
H (0.283, 0.066, 0.617)
H (0.283, 0.434, 0.117)
H (0.286, 0.029, 0.020)
H (0.286, 0.471, 0.520)
H (0.293, 0.613, 0.564)
H (0.293, 0.887, 0.064)
H (0.310, 0.734, 0.341)
H (0.310, 0.766, 0.841)
H (0.350, 0.680, 0.816)
H (0.350, 0.820, 0.316)
H (0.482, 0.724, 0.966)
H (0.482, 0.776, 0.466)
H (0.486, 0.587, 0.667)
H (0.486, 0.913, 0.167)
H (0.514, 0.087, 0.833)
H (0.514, 0.413, 0.333)
H (0.518, 0.224, 0.534)
H (0.518, 0.276, 0.034)
H (0.650, 0.180, 0.684)
H (0.650, 0.320, 0.184)
H (0.690, 0.234, 0.159)
H (0.690, 0.266, 0.659)
H (0.707, 0.113, 0.936)
H (0.707, 0.387, 0.436)
H (0.714, 0.529, 0.480)
H (0.714, 0.971, 0.980)
H (0.717, 0.566, 0.883)
H (0.717, 0.934, 0.383)
H (0.746, 0.037, 0.726)
H (0.746, 0.463, 0.226)
H (0.762, 0.210, 0.533)
H (0.762, 0.290, 0.033)
H (0.812, 0.637, 0.849)
H (0.812, 0.863, 0.349)
H (0.823, 0.028, 0.566)
H (0.823, 0.472, 0.066)
H (0.873, 0.584, 0.549)
H (0.873, 0.916, 0.049)
S (0.121, 0.223, 0.914)
S (0.121, 0.277, 0.414)
S (0.315, 0.576, 0.237)
S (0.315, 0.924, 0.737)
S (0.685, 0.076, 0.263)
S (0.685, 0.424, 0.763)
S (0.879, 0.723, 0.586)
S (0.879, 0.777, 0.086)
N (0.346, 0.720, 0.896)
N (0.346, 0.780, 0.396)
N (0.654, 0.220, 0.604)
N (0.654, 0.280, 0.104)
O (0.049, 0.727, 0.126)
O (0.049, 0.773, 0.626)
O (0.093, 0.159, 0.821)
O (0.093, 0.341, 0.321)
O (0.134, 0.205, 0.078)
O (0.134, 0.295, 0.578)
O (0.165, 0.578, 0.096)
O (0.165, 0.922, 0.596)
O (0.177, 0.059, 0.046)
O (0.177, 0.441, 0.546)
O (0.206, 0.502, 0.843)
O (0.206, 0.998, 0.343)
O (0.210, 0.610, 0.357)
O (0.210, 0.890, 0.857)
O (0.249, 0.111, 0.571)
O (0.249, 0.389, 0.071)
O (0.306, 0.238, 0.386)
O (0.306, 0.262, 0.886)
O (0.356, 0.609, 0.671)
O (0.356, 0.891, 0.171)
O (0.371, 0.504, 0.281)
O (0.371, 0.996, 0.781)
O (0.494, 0.618, 0.214)
O (0.494, 0.882, 0.714)
O (0.506, 0.118, 0.286)
O (0.506, 0.382, 0.786)
O (0.629, 0.004, 0.219)
O (0.629, 0.496, 0.719)
O (0.644, 0.109, 0.829)
O (0.644, 0.391, 0.329)
O (0.694, 0.738, 0.114)
O (0.694, 0.762, 0.614)
O (0.751, 0.611, 0.929)
O (0.751, 0.889, 0.429)
O (0.790, 0.110, 0.143)
O (0.790, 0.390, 0.643)
O (0.794, 0.002, 0.657)
O (0.794, 0.498, 0.157)
O (0.823, 0.559, 0.454)
O (0.823, 0.941, 0.954)
O (0.835, 0.078, 0.404)
O (0.835, 0.422, 0.904)
O (0.866, 0.705, 0.422)
O (0.866, 0.795, 0.922)
O (0.907, 0.659, 0.679)
O (0.907, 0.841, 0.179)
O (0.951, 0.227, 0.374)
O (0.951, 0.273, 0.874)

4.
NiH4N2: optimized geometry, PBE-GGA.

Calculated values
Corrected total energy (MP2020 scheme): -0.4010 Ry per atom
Energy of formation from the pure elements: -0.3090 eV per atom
Volume: 10.08 Å³ per atom

Lattice parameters (Å, degrees): 10.830 10.830 10.830 90.00 90.00 90.00
Fractional coordinates of all 126 atoms:
Ni (0.000, 0.185, 0.500)
Ni (0.000, 0.368, 0.132)
Ni (0.000, 0.368, 0.868)
Ni (0.000, 0.632, 0.132)
Ni (0.000, 0.632, 0.868)
Ni (0.000, 0.815, 0.500)
Ni (0.132, 0.000, 0.368)
Ni (0.132, 0.000, 0.632)
Ni (0.185, 0.500, 0.000)
Ni (0.368, 0.132, 0.000)
Ni (0.368, 0.868, 0.000)
Ni (0.500, 0.000, 0.185)
Ni (0.500, 0.000, 0.815)
Ni (0.632, 0.132, 0.000)
Ni (0.632, 0.868, 0.000)
Ni (0.815, 0.500, 0.000)
Ni (0.868, 0.000, 0.368)
Ni (0.868, 0.000, 0.632)
H (0.000, 0.076, 0.193)
H (0.000, 0.076, 0.807)
H (0.000, 0.924, 0.193)
H (0.000, 0.924, 0.807)
H (0.075, 0.500, 0.308)
H (0.075, 0.500, 0.692)
H (0.076, 0.193, 0.000)
H (0.076, 0.807, 0.000)
H (0.099, 0.221, 0.295)
H (0.099, 0.221, 0.705)
H (0.099, 0.779, 0.295)
H (0.099, 0.779, 0.705)
H (0.193, 0.000, 0.076)
H (0.193, 0.000, 0.924)
H (0.206, 0.217, 0.402)
H (0.206, 0.217, 0.598)
H (0.206, 0.783, 0.402)
H (0.206, 0.783, 0.598)
H (0.217, 0.402, 0.206)
H (0.217, 0.402, 0.794)
H (0.217, 0.598, 0.206)
H (0.217, 0.598, 0.794)
H (0.221, 0.295, 0.099)
H (0.221, 0.295, 0.901)
H (0.221, 0.705, 0.099)
H (0.221, 0.705, 0.901)
H (0.295, 0.099, 0.221)
H (0.295, 0.099, 0.779)
H (0.295, 0.901, 0.221)
H (0.295, 0.901, 0.779)
H (0.308, 0.075, 0.500)
H (0.308, 0.925, 0.500)
H (0.402, 0.206, 0.217)
H (0.402, 0.206, 0.783)
H (0.402, 0.794, 0.217)
H (0.402, 0.794, 0.783)
H (0.500, 0.308, 0.075)
H (0.500, 0.308, 0.925)
H (0.500, 0.692, 0.075)
H (0.500, 0.692, 0.925)
H (0.598, 0.206, 0.217)
H (0.598, 0.206, 0.783)
H (0.598, 0.794, 0.217)
H (0.598, 0.794, 0.783)
H (0.692, 0.075, 0.500)
H (0.692, 0.925, 0.500)
H (0.705, 0.099, 0.221)
H (0.705, 0.099, 0.779)
H (0.705, 0.901, 0.221)
H (0.705, 0.901, 0.779)
H (0.779, 0.295, 0.099)
H (0.779, 0.295, 0.901)
H (0.779, 0.705, 0.099)
H (0.779, 0.705, 0.901)
H (0.783, 0.402, 0.206)
H (0.783, 0.402, 0.794)
H (0.783, 0.598, 0.206)
H (0.783, 0.598, 0.794)
H (0.794, 0.217, 0.402)
H (0.794, 0.217, 0.598)
H (0.794, 0.783, 0.402)
H (0.794, 0.783, 0.598)
H (0.807, 0.000, 0.076)
H (0.807, 0.000, 0.924)
H (0.901, 0.221, 0.295)
H (0.901, 0.221, 0.705)
H (0.901, 0.779, 0.295)
H (0.901, 0.779, 0.705)
H (0.924, 0.193, 0.000)
H (0.924, 0.807, 0.000)
H (0.925, 0.500, 0.308)
H (0.925, 0.500, 0.692)
N (0.000, 0.000, 0.250)
N (0.000, 0.000, 0.750)
N (0.000, 0.250, 0.000)
N (0.000, 0.500, 0.250)
N (0.000, 0.500, 0.750)
N (0.000, 0.750, 0.000)
N (0.125, 0.177, 0.375)
N (0.125, 0.177, 0.625)
N (0.125, 0.823, 0.375)
N (0.125, 0.823, 0.625)
N (0.177, 0.375, 0.125)
N (0.177, 0.375, 0.875)
N (0.177, 0.625, 0.125)
N (0.177, 0.625, 0.875)
N (0.250, 0.000, 0.000)
N (0.250, 0.000, 0.500)
N (0.375, 0.125, 0.177)
N (0.375, 0.125, 0.823)
N (0.375, 0.875, 0.177)
N (0.375, 0.875, 0.823)
N (0.500, 0.250, 0.000)
N (0.500, 0.750, 0.000)
N (0.625, 0.125, 0.177)
N (0.625, 0.125, 0.823)
N (0.625, 0.875, 0.177)
N (0.625, 0.875, 0.823)
N (0.750, 0.000, 0.000)
N (0.750, 0.000, 0.500)
N (0.823, 0.375, 0.125)
N (0.823, 0.375, 0.875)
N (0.823, 0.625, 0.125)
N (0.823, 0.625, 0.875)
N (0.875, 0.177, 0.375)
N (0.875, 0.177, 0.625)
N (0.875, 0.823, 0.375)
N (0.875, 0.823, 0.625)

Look up the corrected total energy (MP2020 scheme) of the second one.
-0.4112 Ry per atom